CoNiH12C4N4O6 after structural relaxation, computed with GGA+U.

abc: 13.1320 14.7979 6.9418
angles: 90.00 90.00 90.00
Closest atoms and distances in Å follow each position.
Space group Pnma (No. 62)
Asymmetric unit:
Co  0.0000  0.0000  0.0000 [4 per cell]  4 N 2.09-2.11, 2 O 2.15
Ni  0.0555  0.2500  0.4968 [4 per cell]  4 C 1.88
H  0.1061  0.5311  0.5652 [8 per cell]  1 O 0.98
H  0.1561  0.7500  0.0109 [4 per cell]  1 O 0.97
H  0.1680  0.5840  0.8596 [8 per cell]  1 O 0.98
H  0.1733  0.5807  0.4181 [8 per cell]  1 O 0.98
H  0.2106  0.5251  0.0287 [8 per cell]  1 O 0.99
H  0.2171  0.6977  0.5561 [8 per cell]  1 O 0.98
H  0.2277  0.7500  0.1887 [4 per cell]  1 O 0.99
C  0.0456  0.1570  0.6804 [8 per cell]  1 N 1.17
C  0.0516  0.1581  0.3098 [8 per cell]  1 N 1.17
N  0.0331  0.0939  0.7797 [8 per cell]  1 C 1.17
N  0.0421  0.0962  0.2058 [8 per cell]  1 C 1.17
O  0.1497  0.5581  0.9843 [8 per cell]  2 H 0.98-0.99
O  0.1748  0.5557  0.5483 [8 per cell]  2 H 0.98
O  0.2243  0.7500  0.4715 [4 per cell]  2 H 0.98
O  0.2279  0.7500  0.0468 [4 per cell]  2 H 0.97-0.99

## Properties
- total moment (Bohr magnetons per cell) = 12.1
- energy of formation (eV per formula unit) = -16.33
- energy with MP2020 corrections (eV/atom) = -6.067